# Zr3U2Ge4 | the Materials Project database | GGA-PBE | relaxed
# E: -71.86 eV/f.u.
data_Zr3U2Ge4
_chemical_formula_sum 'Zr6 U4 Ge8'
_space_group_name_H-M_alt 'P 1'
_space_group_IT_number 1
_cell_length_a 7.432
_cell_length_b 7.233
_cell_length_c 7.414
_cell_angle_alpha 70.52
_cell_angle_beta 90.00
_cell_angle_gamma 90.00
loop_
_space_group_symop_operation_xyz
'x,y,z'
loop_
_atom_site_label
_atom_site_fract_x
_atom_site_fract_y
_atom_site_fract_z
Zr1 0.171 0.750 0.748
Zr2 0.829 0.250 0.252
Zr3 0.329 0.250 0.748
Zr4 0.000 0.000 0.000
Zr5 0.671 0.750 0.252
Zr6 0.500 0.500 0.000
Ge1 0.634 0.136 0.990
Ge2 0.963 0.856 0.415
Ge3 0.134 0.364 0.010
Ge4 0.366 0.864 0.010
Ge5 0.866 0.636 0.990
Ge6 0.463 0.644 0.585
Ge7 0.037 0.144 0.585
Ge8 0.537 0.356 0.415
U1 0.169 0.562 0.317
U2 0.331 0.062 0.317
U3 0.669 0.938 0.683
U4 0.831 0.438 0.683

# LiSmS2 | the Materials Project database | GGA-PBE | relaxed
# E: -21.84 eV/f.u.
data_LiSmS2
_chemical_formula_sum 'Li1 Sm1 S2'
_space_group_name_H-M_alt 'P 1'
_space_group_IT_number 1
_cell_length_a 4.000
_cell_length_b 4.000
_cell_length_c 5.441
_cell_angle_alpha 90.00
_cell_angle_beta 90.00
_cell_angle_gamma 90.00
loop_
_space_group_symop_operation_xyz
'x,y,z'
loop_
_atom_site_label
_atom_site_fract_x
_atom_site_fract_y
_atom_site_fract_z
S1 0.500 0.500 0.000
S2 0.000 0.000 0.500
Sm1 0.500 0.500 0.500
Li1 0.000 0.000 0.000

# ZrCrFe | the Materials Project database | GGA-PBE | relaxed
# E: -27.05 eV/f.u.
# offset from the most stable computed form: 0.00 eV/f.u.
data_ZrCrFe
_chemical_formula_sum 'Zr4 Cr4 Fe4'
_space_group_name_H-M_alt 'P 1'
_space_group_IT_number 1
_cell_length_a 4.964
_cell_length_b 4.964
_cell_length_c 8.291
_cell_angle_alpha 90.00
_cell_angle_beta 90.00
_cell_angle_gamma 119.60
loop_
_space_group_symop_operation_xyz
'x,y,z'
loop_
_atom_site_label
_atom_site_fract_x
_atom_site_fract_y
_atom_site_fract_z
Cr1 0.662 0.831 0.500
Cr2 0.169 0.831 0.500
Cr3 0.169 0.338 0.500
Cr4 0.834 0.166 0.000
Fe1 0.834 0.663 0.000
Fe2 0.337 0.166 0.000
Fe3 0.999 0.001 0.752
Fe4 0.999 0.001 0.248
Zr1 0.333 0.667 0.814
Zr2 0.666 0.334 0.311
Zr3 0.333 0.667 0.186
Zr4 0.666 0.334 0.689

# DyBPd3 | the Materials Project database | GGA-PBE | relaxed
# E: -29.95 eV/f.u.
data_DyBPd3
_chemical_formula_sum 'Dy1 B1 Pd3'
_space_group_name_H-M_alt 'P 1'
_space_group_IT_number 1
_cell_length_a 4.320
_cell_length_b 4.320
_cell_length_c 4.320
_cell_angle_alpha 90.00
_cell_angle_beta 90.00
_cell_angle_gamma 90.00
loop_
_space_group_symop_operation_xyz
'x,y,z'
loop_
_atom_site_label
_atom_site_fract_x
_atom_site_fract_y
_atom_site_fract_z
Pd1 0.000 0.500 0.500
Pd2 0.500 0.500 0.000
Pd3 0.500 0.000 0.500
B1 0.500 0.500 0.500
Dy1 0.000 0.000 0.000

So what do the calculations give for energy relative to the elements? Going down the list: -5.14 -7.94 -0.38 -3.13 eV per formula unit.
So what do the calculations give for V? Going down the list: 20.9 21.8 14.8 16.1 Å³/atom.